No. 1
Compound: DyAlCu
Source: the Materials Project database
Functional: PBE
Structure: optimized geometry

Geometry as CIF:
```
data_DyAlCu
_symmetry_space_group_name_H-M 'P 1'
_symmetry_Int_Tables_number 1
_cell_length_a 4.0502
_cell_length_b 7.0355
_cell_length_c 7.0355
_cell_angle_alpha 120.00
_cell_angle_beta 90.00
_cell_angle_gamma 90.00
loop_
_symmetry_equiv_pos_as_xyz
'x,y,z'
loop_
_atom_site_label
_atom_site_fract_x
_atom_site_fract_y
_atom_site_fract_z
Dy1 0.5000 0.0000 0.5865
Dy2 0.5000 0.5865 0.0000
Dy3 0.5000 0.4135 0.4135
Cu1 0.5000 0.0000 0.0000
Cu2 0.0000 0.3333 0.6667
Cu3 0.0000 0.6667 0.3333
Al1 0.0000 0.7643 0.7643
Al2 0.0000 0.0000 0.2357
Al3 0.0000 0.2357 0.0000
```


No. 2
Compound: DyAl6Cu6
Source: the Materials Project database
Functional: PBE
Structure: optimized geometry

Geometry as CIF:
```
data_DyAl6Cu6
_symmetry_space_group_name_H-M 'P 1'
_symmetry_Int_Tables_number 1
_cell_length_a 5.0959
_cell_length_b 6.6086
_cell_length_c 6.6086
_cell_angle_alpha 99.04
_cell_angle_beta 112.68
_cell_angle_gamma 67.32
loop_
_symmetry_equiv_pos_as_xyz
'x,y,z'
loop_
_atom_site_label
_atom_site_fract_x
_atom_site_fract_y
_atom_site_fract_z
Cu1 0.0000 0.5000 0.0000
Cu2 0.5000 0.0000 0.5000
Cu3 0.5000 0.2265 0.2265
Cu4 0.0000 0.0000 0.5000
Cu5 0.5000 0.5000 0.0000
Cu6 0.5000 0.7735 0.7735
Al1 0.3484 0.6516 0.3484
Al2 0.0000 0.3455 0.3455
Al3 0.6516 0.3484 0.6516
Al4 0.2942 0.2058 0.7942
Al5 0.0000 0.6545 0.6545
Al6 0.7058 0.7942 0.2058
Dy1 0.0000 0.0000 0.0000
```


No. 3
Compound: ErAlCu4
Source: the Materials Project database
Functional: PBE
Structure: optimized geometry

Geometry as CIF:
```
data_ErAlCu4
_symmetry_space_group_name_H-M 'P 1'
_symmetry_Int_Tables_number 1
_cell_length_a 5.1530
_cell_length_b 5.1530
_cell_length_c 4.0129
_cell_angle_alpha 90.00
_cell_angle_beta 90.00
_cell_angle_gamma 120.00
loop_
_symmetry_equiv_pos_as_xyz
'x,y,z'
loop_
_atom_site_label
_atom_site_fract_x
_atom_site_fract_y
_atom_site_fract_z
Cu1 0.1673 0.8327 0.5000
Cu2 0.3333 0.6667 0.0000
Cu3 0.1673 0.3347 0.5000
Cu4 0.6653 0.8327 0.5000
Al1 0.0000 0.0000 0.0000
Er1 0.6667 0.3333 0.0000
```


No. 4
Compound: ErAl8Cu4
Source: the Materials Project database
Functional: PBE
Structure: optimized geometry

Geometry as CIF:
```
data_ErAl8Cu4
_symmetry_space_group_name_H-M 'P 1'
_symmetry_Int_Tables_number 1
_cell_length_a 6.7296
_cell_length_b 6.7296
_cell_length_c 6.7296
_cell_angle_alpha 98.28
_cell_angle_beta 98.28
_cell_angle_gamma 135.39
loop_
_symmetry_equiv_pos_as_xyz
'x,y,z'
loop_
_atom_site_label
_atom_site_fract_x
_atom_site_fract_y
_atom_site_fract_z
Al1 0.7176 0.5000 0.2176
Al2 0.0000 0.3475 0.3475
Al3 0.3475 0.0000 0.3475
Al4 0.5000 0.7176 0.2176
Al5 0.0000 0.6525 0.6525
Al6 0.5000 0.2824 0.7824
Al7 0.6525 0.0000 0.6525
Al8 0.2824 0.5000 0.7824
Cu1 0.5000 0.0000 0.0000
Cu2 0.5000 0.5000 0.5000
Cu3 0.0000 0.5000 0.0000
Cu4 0.0000 0.0000 0.5000
Er1 0.0000 0.0000 0.0000
```


No. 5
Compound: ErAl6Cu6
Source: the Materials Project database
Functional: PBE
Structure: optimized geometry

Geometry as CIF:
```
data_ErAl6Cu6
_symmetry_space_group_name_H-M 'P 1'
_symmetry_Int_Tables_number 1
_cell_length_a 5.0891
_cell_length_b 6.5972
_cell_length_c 6.5972
_cell_angle_alpha 99.06
_cell_angle_beta 112.69
_cell_angle_gamma 67.31
loop_
_symmetry_equiv_pos_as_xyz
'x,y,z'
loop_
_atom_site_label
_atom_site_fract_x
_atom_site_fract_y
_atom_site_fract_z
Cu1 0.5000 0.2251 0.2251
Cu2 0.0000 0.5000 0.0000
Cu3 0.5000 0.5000 0.0000
Cu4 0.5000 0.7749 0.7749
Cu5 0.0000 0.0000 0.5000
Cu6 0.5000 0.0000 0.5000
Al1 0.7097 0.7903 0.2097
Al2 0.2903 0.2097 0.7903
Al3 0.0000 0.3439 0.3439
Al4 0.0000 0.6561 0.6561
Al5 0.6512 0.3488 0.6512
Al6 0.3488 0.6512 0.3488
Er1 0.0000 0.0000 0.0000
```


No. 6
Compound: Er2AlCu
Source: the Materials Project database
Functional: PBE
Structure: optimized geometry

Geometry as CIF:
```
data_Er2AlCu
_symmetry_space_group_name_H-M 'P 1'
_symmetry_Int_Tables_number 1
_cell_length_a 3.4019
_cell_length_b 3.4019
_cell_length_c 7.4691
_cell_angle_alpha 90.00
_cell_angle_beta 90.00
_cell_angle_gamma 90.00
loop_
_symmetry_equiv_pos_as_xyz
'x,y,z'
loop_
_atom_site_label
_atom_site_fract_x
_atom_site_fract_y
_atom_site_fract_z
Er1 0.0000 0.0000 0.2633
Er2 0.0000 0.0000 0.7367
Cu1 0.5000 0.5000 0.5000
Al1 0.5000 0.5000 0.0000
```


No. 7
Compound: Er6Al7Cu16
Source: the Materials Project database
Functional: PBE
Structure: optimized geometry

Geometry as CIF:
```
data_Er6Al7Cu16
_symmetry_space_group_name_H-M 'P 1'
_symmetry_Int_Tables_number 1
_cell_length_a 8.6478
_cell_length_b 8.6478
_cell_length_c 8.6478
_cell_angle_alpha 60.00
_cell_angle_beta 60.00
_cell_angle_gamma 60.00
loop_
_symmetry_equiv_pos_as_xyz
'x,y,z'
loop_
_atom_site_label
_atom_site_fract_x
_atom_site_fract_y
_atom_site_fract_z
Cu1 0.0179 0.3274 0.3274
Cu2 0.1222 0.1222 0.6336
Cu3 0.6726 0.6726 0.9821
Cu4 0.6726 0.9821 0.6726
Cu5 0.8778 0.8778 0.3664
Cu6 0.6336 0.1222 0.1222
Cu7 0.3664 0.8778 0.8778
Cu8 0.1222 0.1222 0.1222
Cu9 0.6726 0.6726 0.6726
Cu10 0.3274 0.3274 0.0179
Cu11 0.3274 0.0179 0.3274
Cu12 0.9821 0.6726 0.6726
Cu13 0.3274 0.3274 0.3274
Cu14 0.8778 0.8778 0.8778
Cu15 0.8778 0.3664 0.8778
Cu16 0.1222 0.6336 0.1222
Al1 0.0000 0.5000 0.5000
Al2 0.0000 0.0000 0.0000
Al3 0.5000 0.0000 0.5000
Al4 0.5000 0.5000 0.0000
Al5 0.0000 0.5000 0.0000
Al6 0.0000 0.0000 0.5000
Al7 0.5000 0.0000 0.0000
Er1 0.2874 0.7126 0.2874
Er2 0.7126 0.7126 0.2874
Er3 0.2874 0.7126 0.7126
Er4 0.7126 0.2874 0.2874
Er5 0.7126 0.2874 0.7126
Er6 0.2874 0.2874 0.7126
```


No. 8
Compound: K2AlCuF6
Source: the Materials Project database
Functional: PBE
Structure: optimized geometry

Geometry as CIF:
```
data_K2AlCuF6
_symmetry_space_group_name_H-M 'P 1'
_symmetry_Int_Tables_number 1
_cell_length_a 5.8215
_cell_length_b 5.8215
_cell_length_c 5.8215
_cell_angle_alpha 60.00
_cell_angle_beta 60.00
_cell_angle_gamma 60.00
loop_
_symmetry_equiv_pos_as_xyz
'x,y,z'
loop_
_atom_site_label
_atom_site_fract_x
_atom_site_fract_y
_atom_site_fract_z
Cu1 0.5000 0.5000 0.5000
K1 0.2500 0.2500 0.2500
K2 0.7500 0.7500 0.7500
F1 0.7765 0.7765 0.2235
F2 0.7765 0.2235 0.2235
F3 0.2235 0.7765 0.7765
F4 0.2235 0.2235 0.7765
F5 0.2235 0.7765 0.2235
F6 0.7765 0.2235 0.7765
Al1 0.0000 0.0000 0.0000
```

## Properties
The calculation puts the energy with MP2020 corrections at -5.170 eV per atom.


No. 9
Compound: KAlCuF6
Source: the Materials Project database
Functional: PBE
Structure: optimized geometry

Geometry as CIF:
```
data_KAlCuF6
_symmetry_space_group_name_H-M 'P 1'
_symmetry_Int_Tables_number 1
_cell_length_a 6.7372
_cell_length_b 7.1536
_cell_length_c 9.9538
_cell_angle_alpha 90.00
_cell_angle_beta 90.00
_cell_angle_gamma 90.00
loop_
_symmetry_equiv_pos_as_xyz
'x,y,z'
loop_
_atom_site_label
_atom_site_fract_x
_atom_site_fract_y
_atom_site_fract_z
Al1 0.5000 0.5000 0.5000
Al2 0.0000 0.0000 0.0000
Al3 0.0000 0.5000 0.0000
Al4 0.5000 0.0000 0.5000
K1 0.9873 0.2500 0.3806
K2 0.4873 0.2500 0.1194
K3 0.5127 0.7500 0.8806
K4 0.0127 0.7500 0.6194
F1 0.5643 0.7500 0.5155
F2 0.1155 0.0075 0.1659
F3 0.3845 0.5075 0.6659
F4 0.1155 0.4925 0.1659
F5 0.0722 0.2500 0.6636
F6 0.6155 0.0075 0.3341
F7 0.7380 0.4448 0.5750
F8 0.2380 0.4448 0.9250
F9 0.7380 0.0552 0.5750
F10 0.8845 0.5075 0.8341
F11 0.6155 0.4925 0.3341
F12 0.2380 0.0552 0.9250
F13 0.2620 0.5552 0.4250
F14 0.7620 0.5552 0.0750
F15 0.9278 0.7500 0.3364
F16 0.0643 0.7500 0.9845
F17 0.2620 0.9448 0.4250
F18 0.7620 0.9448 0.0750
F19 0.3845 0.9925 0.6659
F20 0.4357 0.2500 0.4845
F21 0.5722 0.2500 0.8364
F22 0.9357 0.2500 0.0155
F23 0.8845 0.9925 0.8341
F24 0.4278 0.7500 0.1636
Cu1 0.1868 0.7500 0.2621
Cu2 0.8132 0.2500 0.7379
Cu3 0.3132 0.2500 0.7621
Cu4 0.6868 0.7500 0.2379
```

## Properties
The calculation puts the energy with MP2020 corrections at -5.307 eV per atom.


No. 10
Compound: Li2AlCuF6
Source: the Materials Project database
Functional: PBE
Structure: optimized geometry

Geometry as CIF:
```
data_Li2AlCuF6
_symmetry_space_group_name_H-M 'P 1'
_symmetry_Int_Tables_number 1
_cell_length_a 5.6207
_cell_length_b 5.6207
_cell_length_c 5.6207
_cell_angle_alpha 60.00
_cell_angle_beta 60.00
_cell_angle_gamma 60.00
loop_
_symmetry_equiv_pos_as_xyz
'x,y,z'
loop_
_atom_site_label
_atom_site_fract_x
_atom_site_fract_y
_atom_site_fract_z
F1 0.2280 0.7720 0.7720
F2 0.7720 0.2280 0.2280
F3 0.7720 0.2280 0.7720
F4 0.2280 0.7720 0.2280
F5 0.7720 0.7720 0.2280
F6 0.2280 0.2280 0.7720
Li1 0.2500 0.2500 0.2500
Li2 0.7500 0.7500 0.7500
Cu1 0.5000 0.5000 0.5000
Al1 0.0000 0.0000 0.0000
```

## Properties
The calculation puts the energy with MP2020 corrections at -5.104 eV per atom.


No. 11
Compound: Al5Cu3Si6O21F6
Source: the Materials Project database
Functional: PBE
Structure: optimized geometry

Geometry as CIF:
```
data_Al5Cu3Si6O21F6
_symmetry_space_group_name_H-M 'P 1'
_symmetry_Int_Tables_number 1
_cell_length_a 14.5706
_cell_length_b 8.9249
_cell_length_c 14.0593
_cell_angle_alpha 90.00
_cell_angle_beta 90.00
_cell_angle_gamma 90.00
loop_
_symmetry_equiv_pos_as_xyz
'x,y,z'
loop_
_atom_site_label
_atom_site_fract_x
_atom_site_fract_y
_atom_site_fract_z
O1 0.4208 0.5209 0.7496
O2 0.2649 0.9857 0.0600
O3 0.0043 0.7428 0.6494
O4 0.1576 0.2384 0.6548
O5 0.9007 0.4927 0.0584
O6 0.4902 0.2364 0.6500
O7 0.8998 0.4927 0.4411
O8 0.5702 0.4858 0.0577
O9 0.4007 0.0073 0.9416
O10 0.7631 0.5142 0.5577
O11 0.2533 0.4748 0.0492
O12 0.4036 0.5347 0.3507
O13 0.0969 0.0386 0.3499
O14 0.9036 0.9653 0.6494
O15 0.2364 0.9613 0.8499
O16 0.0757 0.5185 0.7438
O17 0.5701 0.9779 0.8404
O18 0.6577 0.2617 0.3452
O19 0.8443 0.7613 0.3521
O20 0.2632 0.4780 0.6596
O21 0.6724 0.7364 0.6520
O22 0.0801 0.5252 0.5492
O23 0.5043 0.7571 0.3506
O24 0.9902 0.2635 0.3499
O25 0.9209 0.9791 0.2504
O26 0.3240 0.2617 0.3501
O27 0.4890 0.2387 0.8521
O28 0.1757 0.7617 0.1548
O29 0.5620 0.9535 0.6499
O30 0.9890 0.2613 0.1479
O31 0.1724 0.7635 0.3480
O32 0.9253 0.4633 0.6458
O33 0.3443 0.7387 0.6479
O34 0.9297 0.4653 0.8506
O35 0.3998 0.0073 0.5589
O36 0.5969 0.4613 0.6501
O37 0.3291 0.2572 0.1494
O38 0.9336 0.9927 0.0589
O39 0.4326 0.5073 0.5584
O40 0.0702 0.0142 0.9423
O41 0.2577 0.4815 0.2438
O42 0.6757 0.7383 0.8452
O43 0.8431 0.7636 0.1500
O44 0.3431 0.7364 0.8500
O45 0.2631 0.9858 0.4423
O46 0.9326 0.9927 0.4416
O47 0.2338 0.9577 0.6476
O48 0.7576 0.0186 0.7562
O49 0.5995 0.4576 0.8524
O50 0.7339 0.5424 0.3524
O51 0.0865 0.0095 0.7506
O52 0.5757 0.9815 0.2562
O53 0.0620 0.5465 0.3502
O54 0.0094 0.7383 0.8501
O55 0.1609 0.2365 0.8480
O56 0.2713 0.4535 0.8502
O57 0.0995 0.0423 0.1476
O58 0.5975 0.0075 0.0703
O59 0.2359 0.5075 0.4297
O60 0.7468 0.5094 0.7494
O61 0.4336 0.5073 0.9411
O62 0.8239 0.2383 0.6499
O63 0.6609 0.2636 0.1520
O64 0.0975 0.4925 0.9297
O65 0.4253 0.0367 0.3542
O66 0.5866 0.4906 0.2494
O67 0.7649 0.5143 0.9400
O68 0.8290 0.2429 0.8506
O69 0.4081 0.5367 0.1458
O70 0.0684 0.0143 0.5600
O71 0.5094 0.7617 0.1499
O72 0.7713 0.0465 0.1498
O73 0.7364 0.5387 0.1501
O74 0.7632 0.0221 0.3403
O75 0.0701 0.5220 0.1596
O76 0.2468 0.9905 0.2506
O77 0.4124 0.0209 0.7504
O78 0.5801 0.9748 0.4508
O79 0.9081 0.9633 0.8542
O80 0.7533 0.0252 0.9508
O81 0.7359 0.9925 0.5703
O82 0.9125 0.4792 0.2496
O83 0.5684 0.4857 0.4400
O84 0.4297 0.0346 0.1494
Cu1 0.7172 0.1549 0.2524
Cu2 0.3798 0.1499 0.2509
Cu3 0.2171 0.3451 0.7476
Cu4 0.0480 0.1574 0.2490
Cu5 0.2853 0.8426 0.7490
Cu6 0.6161 0.8450 0.7524
Cu7 0.7853 0.6574 0.2510
Cu8 0.1162 0.6549 0.2476
Cu9 0.8799 0.3501 0.7491
Cu10 0.5480 0.3425 0.7511
Cu11 0.4535 0.6498 0.2491
Cu12 0.9535 0.8501 0.7509
Si1 0.1367 0.0598 0.6488
Si2 0.8012 0.0533 0.6505
Si3 0.9687 0.4494 0.1480
Si4 0.4686 0.0506 0.8520
Si5 0.6966 0.5596 0.8512
Si6 0.4660 0.0532 0.6487
Si7 0.5246 0.9431 0.3567
Si8 0.6368 0.4403 0.3512
Si9 0.3012 0.4468 0.3495
Si10 0.8647 0.9494 0.3520
Si11 0.0246 0.5569 0.6433
Si12 0.3087 0.4431 0.1433
Si13 0.3673 0.5532 0.8513
Si14 0.3647 0.5506 0.6480
Si15 0.1372 0.0545 0.8517
Si16 0.8087 0.0569 0.8567
Si17 0.6962 0.5545 0.6483
Si18 0.1966 0.9403 0.1488
Si19 0.1962 0.9455 0.3517
Si20 0.5321 0.9467 0.1505
Si21 0.6372 0.4455 0.1483
Si22 0.8674 0.9468 0.1487
Si23 0.0321 0.5533 0.8495
Si24 0.9660 0.4468 0.3513
Al1 0.2961 0.8569 0.9534
Al2 0.1361 0.6206 0.4530
Al3 0.6361 0.8794 0.5470
Al4 0.0324 0.1341 0.0474
Al5 0.1973 0.3794 0.9530
Al6 0.8637 0.3730 0.9528
Al7 0.4697 0.6270 0.4528
Al8 0.4724 0.6402 0.0443
Al9 0.3009 0.8659 0.5474
Al10 0.8009 0.6341 0.4526
Al11 0.7961 0.6431 0.0466
Al12 0.5324 0.3659 0.9526
Al13 0.6973 0.1206 0.0470
Al14 0.3637 0.1270 0.0472
Al15 0.9696 0.8730 0.5472
Al16 0.3610 0.1403 0.4557
Al17 0.5373 0.3569 0.5466
Al18 0.8610 0.3597 0.5443
Al19 0.0373 0.1431 0.4534
Al20 0.9724 0.8598 0.9557
F1 0.2949 0.2336 0.9659
F2 0.8659 0.7505 0.9659
F3 0.6333 0.2488 0.5355
F4 0.8699 0.7493 0.5304
F5 0.1333 0.2511 0.4646
F6 0.3070 0.2500 0.5367
F7 0.4675 0.2495 0.4659
F8 0.6313 0.2453 0.9691
F9 0.4635 0.2507 0.0304
F10 0.0264 0.7501 0.0367
F11 0.2020 0.7454 0.5309
F12 0.7020 0.7546 0.4691
F13 0.9635 0.2493 0.9696
F14 0.8070 0.2501 0.4633
F15 0.3659 0.7495 0.0341
F16 0.5384 0.7336 0.5341
F17 0.7000 0.7513 0.0354
F18 0.2000 0.7488 0.9646
F19 0.1313 0.2546 0.0309
F20 0.0384 0.7664 0.4659
F21 0.7950 0.2664 0.0341
F22 0.5264 0.7499 0.9633
F23 0.3699 0.7507 0.4696
F24 0.9675 0.2505 0.5341
```

## Properties
The calculation puts the energy with MP2020 corrections at -7.228 eV per atom.


| no. | formation energy (meV per atom) | volume (Å³/f.u.) |
| --- | --- | --- |
| 1 | -453 | 57.87 |
| 2 | -352 | 189.47 |
| 3 | -251 | 92.28 |
| 4 | -300 | 198.02 |
| 5 | -347 | 188.53 |
| 6 | -326 | 86.44 |
| 7 | -377 | 457.29 |
| 8 | -3014 | 139.50 |
| 9 | -3035 | 119.93 |
| 10 | -2789 | 125.56 |
| 11 | -2863 | 457.07 |